1.
First-principles (meta-GGA r2SCAN) data for an optimized crystal structure of YbHg, as listed in the Materials Project database.

Values from the calculation:
The calculation puts the total energy at -43.5223 eV/atom. The value obtained for the energy of formation is -0.5737 eV/atom. The mass density is 13.0 g cm⁻³.

a b c (Å): 3.626 3.626 3.626
angles (deg): 90.00 90.00 90.00
Space group Pm-3m (No. 221)
Symmetry-distinct sites (fractional):
Yb  0.000  0.000  0.000 x1
Hg  0.500  0.500  0.500 x1

2.
First-principles (meta-GGA r2SCAN) data for an optimized crystal structure of YbHg3, as listed in the Materials Project database.

Values from the calculation:
The calculation puts the total energy at -46.5127 eV/atom. The value obtained for the energy of formation is -0.3545 eV/atom. The mass density is 14.2 g cm⁻³.

a b c (Å): 6.5330 6.5330 4.9197
angles (deg): 90.00 90.00 120.00
Space group P6_3/mmc (No. 194)
Symmetry-distinct sites (fractional):
Yb  0.3333  0.6667  0.2500 x2
Hg  0.1675  0.3350  0.7500 x6

3.
First-principles (meta-GGA r2SCAN) data for an optimized crystal structure of Ho, as listed in the Materials Project database.

Values from the calculation:
The calculation puts the total energy at -32.7535 eV/atom. For the energy above the most stable polymorph in this dataset, the calculation gives 12.3 kJ/mol of atoms. The value obtained for the energy of formation is 0.1279 eV/atom. The mass density is 8.7 g cm⁻³.

a b c (Å): 3.981 3.981 3.981
angles (deg): 90.00 90.00 90.00
Space group Im-3m (No. 229)
Symmetry-distinct sites (fractional):
Ho  0.000  0.000  0.000 x2

4.
First-principles (meta-GGA r2SCAN) data for an optimized crystal structure of Ho, as listed in the Materials Project database.

Values from the calculation:
The calculation puts the total energy at -32.8316 eV/atom. For the energy above the most stable polymorph in this dataset, the calculation gives 4.8 kJ/mol of atoms. The value obtained for the energy of formation is 0.0498 eV/atom. The mass density is 8.8 g cm⁻³.

a b c (Å): 4.988 4.988 4.988
angles (deg): 90.00 90.00 90.00
Space group Fm-3m (No. 225)
Symmetry-distinct sites (fractional):
Ho  0.000  0.000  0.000 x4

5.
First-principles (meta-GGA r2SCAN) data for an optimized crystal structure of Ho, as listed in the Materials Project database.

Values from the calculation:
The calculation puts the total energy at -32.8569 eV/atom. For the energy above the most stable polymorph in this dataset, the calculation gives 2.4 kJ/mol of atoms. The value obtained for the energy of formation is 0.0244 eV/atom. The mass density is 8.8 g cm⁻³.

a b c (Å): 3.5525 3.5525 11.3633
angles (deg): 90.00 90.00 120.00
Space group P6_3/mmc (No. 194)
Symmetry-distinct sites (fractional):
Ho  0.0000  0.0000  0.0000 x2
Ho  0.3333  0.6667  0.2500 x2

6.
First-principles (meta-GGA r2SCAN) data for an optimized crystal structure of Ho, as listed in the Materials Project database.

Values from the calculation:
The calculation puts the total energy at -32.8813 eV/atom. For the energy above the most stable polymorph in this dataset, the calculation gives 0.0 kJ/mol of atoms. The value obtained for the energy of formation is 0.0000 eV/atom. The mass density is 8.7 g cm⁻³.

a b c (Å): 3.6151 3.6151 5.5425
angles (deg): 90.00 90.00 120.00
Space group P6_3/mmc (No. 194)
Symmetry-distinct sites (fractional):
Ho  0.3333  0.6667  0.2500 x2

7.
First-principles (meta-GGA r2SCAN) data for an optimized crystal structure of Ho, as listed in the Materials Project database.

Values from the calculation:
The calculation puts the total energy at -32.8661 eV/atom. For the energy above the most stable polymorph in this dataset, the calculation gives 1.5 kJ/mol of atoms. The value obtained for the energy of formation is 0.0153 eV/atom. The mass density is 8.8 g cm⁻³.

a b c (Å): 3.5680 3.5680 25.3789
angles (deg): 90.00 90.00 120.00
Space group R-3m (No. 166, hexagonal axes)
Symmetry-distinct sites (fractional):
Ho  0.0000  0.0000  0.0000 x3
Ho  0.0000  0.0000  0.2219 x6

8.
First-principles (meta-GGA r2SCAN) data for an optimized crystal structure of HoI3, as listed in the Materials Project database.

Values from the calculation:
The calculation puts the total energy at -28.1780 eV/atom. The value obtained for the energy of formation is -1.5387 eV/atom. The mass density is 4.4 g cm⁻³.

a b c (Å): 10.9459 10.9459 3.9778
angles (deg): 90.00 90.00 120.00
Space group P6_3/mmc (No. 194)
Symmetry-distinct sites (fractional):
Ho  0.3333  0.6667  0.2500 x2
I  0.2121  0.4241  0.7500 x6

9.
First-principles (meta-GGA r2SCAN) data for an optimized crystal structure of HoIO, as listed in the Materials Project database.

Values from the calculation:
The calculation puts the total energy at -24.1801 eV/atom. The value obtained for the energy of formation is -3.0426 eV/atom. The mass density is 7.1 g cm⁻³.

a b c (Å): 3.907 3.907 9.406
angles (deg): 90.00 90.00 90.00
Space group P4/nmm (No. 129, origin choice 2)
Symmetry-distinct sites (fractional):
Ho  0.250  0.250  0.114 x2
I  0.250  0.250  0.682 x2
O  0.250  0.750  0.000 x2

10.
First-principles (meta-GGA r2SCAN) data for an optimized crystal structure of HoI3O9, as listed in the Materials Project database.

Values from the calculation:
The calculation puts the total energy at -12.8966 eV/atom. For the energy above the most stable polymorph in this dataset, the calculation gives 52.9 kJ/mol of atoms. The value obtained for the energy of formation is -0.5651 eV/atom. The mass density is 6.0 g cm⁻³.

a b c (Å): 6.317 8.537 7.070
angles (deg): 90.00 90.00 90.00
Space group Pmmn (No. 59, origin choice 2)
Symmetry-distinct sites (fractional):
Ho  0.250  0.250  0.182 x2
I  0.250  0.559  0.609 x4
I  0.250  0.750  0.010 x2
O  0.058  0.608  0.891 x8
O  0.060  0.750  0.555 x4
O  0.250  0.004  0.358 x4
O  0.250  0.250  0.864 x2

11.
First-principles (meta-GGA r2SCAN) data for an optimized crystal structure of HoI3O9, as listed in the Materials Project database.

Values from the calculation:
The calculation puts the total energy at -13.4450 eV/atom. For the energy above the most stable polymorph in this dataset, the calculation gives 0.0 kJ/mol of atoms. The value obtained for the energy of formation is -1.1135 eV/atom. The mass density is 5.9 g cm⁻³.

a b c (Å): 8.666 5.994 16.383
angles (deg): 90.00 114.62 90.00
Space group P2_1/c (No. 14)
Symmetry-distinct sites (fractional):
Ho  0.146  0.213  0.104 x4
I  0.077  0.188  0.357 x4
I  0.356  0.651  0.521 x4
I  0.418  0.600  0.800 x4
O  0.057  0.057  0.687 x4
O  0.093  0.606  0.670 x4
O  0.121  0.128  0.472 x4
O  0.127  0.627  0.487 x4
O  0.343  0.176  0.256 x4
O  0.343  0.588  0.889 x4
O  0.354  0.067  0.941 x4
O  0.362  0.012  0.637 x4
O  0.392  0.026  0.118 x4

12.
First-principles (meta-GGA r2SCAN) data for an optimized crystal structure of Ho7PtI12, as listed in the Materials Project database.

Values from the calculation:
The calculation puts the total energy at -30.3082 eV/atom. The value obtained for the energy of formation is -1.4901 eV/atom. The mass density is 6.4 g cm⁻³.

a b c (Å): 15.5733 15.5733 10.6190
angles (deg): 90.00 90.00 120.00
Space group R-3 (No. 148, hexagonal axes)
Symmetry-distinct sites (fractional):
Ho  0.0000  0.0000  0.0000 x3
Ho  0.0442  0.8860  0.3542 x18
Pt  0.0000  0.0000  0.5000 x3
I  0.0191  0.4340  0.1602 x18
I  0.0511  0.8692  0.8396 x18

Which of these has the lowest mass density?
HoI3

Which value of energy of formation does entry 12 give?
-1.4901 eV/atom

What is the formula in the tenth record?
HoI3O9

What is the mass density in the eleventh record?
5.9 g cm⁻³